The following is a PBE calculation of crystalline SrCa2Si6 at its relaxed geometry, from the Materials Project.

The value obtained for the formation enthalpy at 0 K is -2.80 eV per formula unit. The raw total energy is -41.48 eV/f.u. The total magnetization comes out at 0.000 μB per atom.

It has space group C2/m (No. 12), with a = 12.205 Å, b = 3.969 Å, c = 8.333 Å, α = 90.00°, β = 92.96° and γ = 90.00°. The distinct sites, in fractional coordinates, are Sr at (0.000, 0.000, 0.000), Ca at (0.169, 0.500, 0.335), Si at (0.082, 0.500, 0.742), Si at (0.086, 0.000, 0.577) and Si at (0.247, 0.500, 0.915).

=====

The following is a PBE calculation of crystalline CaZnSi at its relaxed geometry, from the Materials Project.

The value obtained for the formation enthalpy at 0 K is -1.28 eV per formula unit. The raw total energy is -10.04 eV/f.u.

It has space group P6_3/mmc (No. 194), with a = 4.2399 Å, b = 4.2399 Å, c = 8.2329 Å, α = 90.00°, β = 90.00° and γ = 120.00°. The distinct sites, in fractional coordinates, are Ca at (0.0000, 0.0000, 0.0000), Zn at (0.3333, 0.6667, 0.2500) and Si at (0.3333, 0.6667, 0.7500).

=====

The following is a PBE calculation of crystalline CaZnSi at its relaxed geometry, from the Materials Project.

The value obtained for the formation enthalpy at 0 K is -1.18 eV per formula unit. The raw total energy is -9.94 eV/f.u. The total magnetization comes out at 0.000 μB per atom.

It has space group P-6m2 (No. 187), with a = 4.1587 Å, b = 4.1587 Å, c = 4.3414 Å, α = 90.00°, β = 90.00° and γ = 120.00°. The distinct sites, in fractional coordinates, are Ca at (0.0000, 0.0000, 0.0000), Zn at (0.3333, 0.6667, 0.5000) and Si at (0.6667, 0.3333, 0.5000).

=====

The following is a PBE calculation of crystalline CaZn2Si2 at its relaxed geometry, from the Materials Project.

The value obtained for the formation enthalpy at 0 K is -1.32 eV per formula unit. The raw total energy is -16.84 eV/f.u.

It has space group I4/mmm (No. 139), with a = 4.250 Å, b = 4.250 Å, c = 10.173 Å, α = 90.00°, β = 90.00° and γ = 90.00°. The distinct sites, in fractional coordinates, are Ca at (0.000, 0.000, 0.000), Zn at (0.000, 0.500, 0.250) and Si at (0.000, 0.000, 0.385).